[1]
A plane-wave DFT calculation with PBE was carried out for a geometry-optimized ZrTlCuS3 structure.

a b c (Å): 3.741 14.397 9.826
angles (deg): 90.00 90.00 90.00
Space group Cmcm (No. 63)
Inequivalent atoms, fractional coordinates:
Zr: 0.000 0.000 0.000 [4 per cell]
Tl: 0.000 0.254 0.250 [4 per cell]
Cu: 0.000 0.464 0.750 [4 per cell]
S: 0.000 0.063 0.750 [4 per cell]
S: 0.000 0.379 0.552 [8 per cell]

[2]
A plane-wave DFT calculation with PBE was carried out for a geometry-optimized Rb2LiSmCl6 structure.

a b c (Å): 10.587 10.587 10.587
angles (deg): 90.00 90.00 90.00
Space group Fm-3m (No. 225)
Inequivalent atoms, fractional coordinates:
Rb: 0.250 0.250 0.250 [8 per cell]
Li: 0.000 0.000 0.000 [4 per cell]
Sm: 0.000 0.000 0.500 [4 per cell]
Cl: 0.000 0.000 0.246 [24 per cell]

[3]
A plane-wave DFT calculation with PBE was carried out for a geometry-optimized DyCoC structure.

Properties
ΔE to the lowest computed polymorph, eV per formula unit: 0.18

a b c (Å): 3.539 3.539 3.604
angles (deg): 90.00 90.00 90.00
Space group P4/mmm (No. 123)
Inequivalent atoms, fractional coordinates:
Dy: 0.000 0.000 0.000 [1 per cell]
Co: 0.500 0.500 0.500 [1 per cell]
C: 0.500 0.500 0.000 [1 per cell]

Number 1: ΔH_f (0 K) -1.24 eV per atom. Number 2: ΔH_f (0 K) -2.45 eV per atom. Number 3: ΔH_f (0 K) -0.26 eV per atom.